Record 1
Entry from the Materials Project database: crystalline CsFeF3 at its relaxed geometry (PBE+U).

Output
* size of the total moment: 24.00 μB/cell
* SG: P6_3/mmc, No. 194
* calculated density: 4.8 g/cm³
* crystal system: hexagonal
* E: -5.037 eV per atom
* energy relative to the elements: -13.72 eV per formula unit

abc: 6.301 6.301 14.847
angles: 90.00 90.00 120.00
Positions (direct):
1 Cs 0.000 0.000 0.250
2 Cs 0.000 0.000 0.750
3 Cs 0.333 0.667 0.095
4 Cs 0.333 0.667 0.405
5 Cs 0.667 0.333 0.595
6 Cs 0.667 0.333 0.905
7 Fe 0.000 0.000 0.000
8 Fe 0.000 0.000 0.500
9 Fe 0.333 0.667 0.653
10 Fe 0.333 0.667 0.847
11 Fe 0.667 0.333 0.153
12 Fe 0.667 0.333 0.347
13 F 0.044 0.522 0.750
14 F 0.166 0.332 0.579
15 F 0.166 0.332 0.921
16 F 0.166 0.834 0.579
17 F 0.166 0.834 0.921
18 F 0.332 0.166 0.079
19 F 0.332 0.166 0.421
20 F 0.478 0.522 0.750
21 F 0.478 0.956 0.750
22 F 0.522 0.044 0.250
23 F 0.522 0.478 0.250
24 F 0.668 0.834 0.579
25 F 0.668 0.834 0.921
26 F 0.834 0.166 0.079
27 F 0.834 0.166 0.421
28 F 0.834 0.668 0.079
29 F 0.834 0.668 0.421
30 F 0.956 0.478 0.250

***

Record 2
Entry from the Materials Project database: crystalline CsFe2F6 at its relaxed geometry (PBE+U).

Output
* SG: Pnma, No. 62
* calculated density: 4.0 g/cm³
* crystal system: orthorhombic
* E: -5.221 eV per atom
* energy above the lowest structure with this stoichiometry: 0.000 eV per atom
* energy relative to the elements: -24.95 eV per formula unit

abc: 7.371 7.611 10.609
angles: 90.00 90.00 90.00
Positions (direct):
1 Cs 0.012 0.250 0.126
2 Cs 0.488 0.750 0.626
3 Cs 0.512 0.250 0.374
4 Cs 0.988 0.750 0.874
5 Fe 0.000 0.000 0.500
6 Fe 0.000 0.500 0.500
7 Fe 0.221 0.250 0.762
8 Fe 0.279 0.750 0.262
9 Fe 0.500 0.000 0.000
10 Fe 0.500 0.500 0.000
11 Fe 0.721 0.250 0.738
12 Fe 0.779 0.750 0.238
13 F 0.038 0.750 0.174
14 F 0.041 0.250 0.450
15 F 0.151 0.026 0.649
16 F 0.151 0.474 0.649
17 F 0.219 0.558 0.405
18 F 0.219 0.942 0.405
19 F 0.281 0.058 0.905
20 F 0.281 0.442 0.905
21 F 0.349 0.526 0.149
22 F 0.349 0.974 0.149
23 F 0.459 0.750 0.950
24 F 0.462 0.250 0.674
25 F 0.538 0.750 0.326
26 F 0.541 0.250 0.050
27 F 0.651 0.026 0.851
28 F 0.651 0.474 0.851
29 F 0.719 0.558 0.095
30 F 0.719 0.942 0.095
31 F 0.781 0.058 0.595
32 F 0.781 0.442 0.595
33 F 0.849 0.526 0.351
34 F 0.849 0.974 0.351
35 F 0.959 0.750 0.550
36 F 0.962 0.250 0.826

***

Record 3
Entry from the Materials Project database: crystalline Cs7Fe4F15 at its relaxed geometry (PBE+U).

Output
* SG: P2_1/c, No. 14
* calculated density: 4.4 g/cm³
* crystal system: monoclinic
* E: -4.833 eV per atom
* energy relative to the elements: -72.76 eV per formula unit

abc: 7.966 11.304 12.005
angles: 90.00 91.69 90.00
Positions (direct):
1 Cs 0.000 0.000 0.000
2 Cs 0.000 0.500 0.500
3 Cs 0.157 0.153 0.303
4 Cs 0.157 0.347 0.803
5 Cs 0.328 0.002 0.666
6 Cs 0.328 0.498 0.166
7 Cs 0.498 0.181 0.030
8 Cs 0.498 0.319 0.530
9 Cs 0.502 0.681 0.470
10 Cs 0.502 0.819 0.970
11 Cs 0.672 0.502 0.834
12 Cs 0.672 0.998 0.334
13 Cs 0.843 0.653 0.197
14 Cs 0.843 0.847 0.697
15 Fe 0.078 0.663 0.928
16 Fe 0.078 0.837 0.428
17 Fe 0.264 0.672 0.725
18 Fe 0.264 0.828 0.225
19 Fe 0.736 0.172 0.775
20 Fe 0.736 0.328 0.275
21 Fe 0.922 0.163 0.572
22 Fe 0.922 0.337 0.072
23 F 0.000 0.000 0.500
24 F 0.000 0.500 0.000
25 F 0.021 0.601 0.756
26 F 0.021 0.899 0.256
27 F 0.148 0.237 0.557
28 F 0.148 0.263 0.057
29 F 0.173 0.734 0.081
30 F 0.173 0.766 0.581
31 F 0.178 0.688 0.333
32 F 0.178 0.812 0.833
33 F 0.313 0.591 0.895
34 F 0.313 0.909 0.395
35 F 0.329 0.523 0.640
36 F 0.329 0.977 0.140
37 F 0.494 0.750 0.222
38 F 0.494 0.750 0.722
39 F 0.506 0.250 0.278
40 F 0.506 0.250 0.778
41 F 0.671 0.023 0.860
42 F 0.671 0.477 0.360
43 F 0.687 0.091 0.605
44 F 0.687 0.409 0.105
45 F 0.822 0.188 0.167
46 F 0.822 0.312 0.667
47 F 0.827 0.234 0.419
48 F 0.827 0.266 0.919
49 F 0.852 0.737 0.943
50 F 0.852 0.763 0.443
51 F 0.979 0.101 0.744
52 F 0.979 0.399 0.244

***

Record 4
Entry from the Materials Project database: crystalline CsFe2F6 at its relaxed geometry (PBE+U).

Output
* size of the total moment: 18.00 μB/cell
* SG: Fd-3m, No. 227
* calculated density: 4.0 g/cm³
* crystal system: cubic
* E: -5.176 eV per atom
* energy above the lowest structure with this stoichiometry: 0.045 eV per atom
* energy relative to the elements: -24.55 eV per formula unit

abc: 7.517 7.517 7.517
angles: 60.00 60.00 60.00
Positions (direct):
1 Cs 0.125 0.125 0.125
2 Cs 0.875 0.875 0.875
3 Fe 0.000 0.500 0.500
4 Fe 0.500 0.000 0.500
5 Fe 0.500 0.500 0.000
6 Fe 0.500 0.500 0.500
7 F 0.181 0.181 0.569
8 F 0.181 0.569 0.181
9 F 0.181 0.569 0.569
10 F 0.431 0.431 0.819
11 F 0.431 0.819 0.431
12 F 0.431 0.819 0.819
13 F 0.569 0.181 0.181
14 F 0.569 0.181 0.569
15 F 0.569 0.569 0.181
16 F 0.819 0.431 0.431
17 F 0.819 0.431 0.819
18 F 0.819 0.819 0.431

***

Record 5
Entry from the Materials Project database: crystalline CsFeF3 at its relaxed geometry (PBE+U).

Output
* size of the total moment: 4.00 μB/cell
* SG: Pm-3m, No. 221
* calculated density: 5.1 g/cm³
* crystal system: cubic
* E: -4.731 eV per atom
* energy relative to the elements: -12.19 eV per formula unit

abc: 4.312 4.312 4.312
angles: 90.00 90.00 90.00
Positions (direct):
1 Cs 0.000 0.000 0.000
2 Fe 0.500 0.500 0.500
3 F 0.000 0.500 0.500
4 F 0.500 0.000 0.500
5 F 0.500 0.500 0.000

***

Record 6
Entry from the Materials Project database: crystalline Cs4KLiFe2F12 at its relaxed geometry (PBE+U).

Output
* SG: R-3m, No. 166
* calculated density: 4.0 g/cm³
* crystal system: trigonal
* E: -4.776 eV per atom
* energy relative to the elements: -59.07 eV per formula unit

abc: 11.133 11.133 11.133
angles: 33.70 33.70 33.70
Positions (direct):
1 Cs 0.133 0.133 0.133
2 Cs 0.285 0.285 0.285
3 Cs 0.715 0.715 0.715
4 Cs 0.867 0.867 0.867
5 K 0.000 0.000 0.000
6 Li 0.500 0.500 0.500
7 Fe 0.416 0.416 0.416
8 Fe 0.584 0.584 0.584
9 F 0.180 0.594 0.594
10 F 0.237 0.237 0.672
11 F 0.237 0.672 0.237
12 F 0.328 0.763 0.763
13 F 0.406 0.406 0.820
14 F 0.406 0.820 0.406
15 F 0.594 0.180 0.594
16 F 0.594 0.594 0.180
17 F 0.672 0.237 0.237
18 F 0.763 0.328 0.763
19 F 0.763 0.763 0.328
20 F 0.820 0.406 0.406

***

Record 7
Entry from the Materials Project database: crystalline CsMgFeF6 at its relaxed geometry (PBE+U).

Output
* size of the total moment: 10.00 μB/cell
* SG: Imma, No. 74
* calculated density: 3.7 g/cm³
* crystal system: orthorhombic
* E: -5.122 eV per atom
* energy relative to the elements: -28.68 eV per formula unit

abc: 7.440 7.440 7.440
angles: 120.45 119.61 89.95
Positions (direct):
1 Cs 0.371 0.121 0.250
2 Cs 0.629 0.879 0.750
3 Mg 0.000 0.000 0.500
4 Mg 0.000 0.500 0.000
5 Fe 0.000 0.500 0.500
6 Fe 0.500 0.500 0.000
7 F 0.066 0.816 0.250
8 F 0.067 0.434 0.256
9 F 0.067 0.811 0.633
10 F 0.317 0.567 0.750
11 F 0.322 0.189 0.756
12 F 0.322 0.566 0.133
13 F 0.678 0.434 0.867
14 F 0.678 0.811 0.244
15 F 0.683 0.433 0.250
16 F 0.933 0.189 0.367
17 F 0.933 0.566 0.744
18 F 0.934 0.184 0.750

***

> Which of these has the lowest energy relative to the elements?

Cs7Fe4F15

***

> Which of these has the lowest energy relative to the elements?

Cs7Fe4F15

***

> Look up the E of the fourth one.

-5.176 eV per atom

***

> Which value of calculated density does entry 7 give?

3.7 g/cm³